! Na2Fe3S4 PBE relaxed; values from VASP
! **V**: 155.5 Å³ per cell
! **DFT formation energy**: -0.759 eV per atom
! **Uncorrected energy**: -0.4036 Ry/atom
&SYSTEM
  ibrav = 0, nat = 9, ntyp = 3
/
ATOMIC_SPECIES
Na 22.99 Na.upf
Fe 55.84 Fe.upf
S 32.06 S.upf
ATOMIC_POSITIONS crystal
Na 0.5081 0.5081 0.4943
Na 0.0015 0.0015 0.9984
Fe 0.6926 0.6926 0.9704
Fe 0.8066 0.8066 0.5242
Fe 0.3043 0.3043 0.0390
S 0.1409 0.1409 0.1812
S 0.6458 0.6458 0.7006
S 0.8551 0.8551 0.8006
S 0.3541 0.3541 0.3171
CELL_PARAMETERS angstrom
-5.2372 -5.5085 -0.1132
-3.9001 -5.6819 3.2077
-5.8018 1.6960 2.4245

=====

! Na3Fe2S4 PBE relaxed; values from VASP
! **V**: 748.5 Å³ per cell
! **DFT formation energy**: -0.858 eV per atom
! **Uncorrected energy**: -0.3525 Ry/atom
&SYSTEM
  ibrav = 0, nat = 36, ntyp = 3
/
ATOMIC_SPECIES
Na 22.99 Na.upf
Fe 55.84 Fe.upf
S 32.06 S.upf
ATOMIC_POSITIONS crystal
Na 0.0821 0.2500 0.7651
Na 0.5821 0.2500 0.7349
Na 0.9179 0.7500 0.2349
Na 0.4179 0.7500 0.2651
Na 0.0431 0.4151 0.1436
Na 0.5431 0.0849 0.3564
Na 0.9569 0.9151 0.8564
Na 0.4569 0.5849 0.6436
Na 0.9569 0.5849 0.8564
Na 0.4569 0.9151 0.6436
Na 0.0431 0.0849 0.1436
Na 0.5431 0.4151 0.3564
Fe 0.0460 0.3741 0.4711
Fe 0.5460 0.1259 0.0289
Fe 0.9540 0.8741 0.5289
Fe 0.4540 0.6259 0.9711
Fe 0.9540 0.6259 0.5289
Fe 0.4540 0.8741 0.9711
Fe 0.0460 0.1259 0.4711
Fe 0.5460 0.3741 0.0289
S 0.1653 0.5519 0.3772
S 0.6653 0.9481 0.1228
S 0.8347 0.0519 0.6228
S 0.3347 0.4481 0.8772
S 0.8347 0.4481 0.6228
S 0.3347 0.0519 0.8772
S 0.1653 0.9481 0.3772
S 0.6653 0.5519 0.1228
S 0.3050 0.2500 0.5377
S 0.8050 0.2500 0.9623
S 0.6950 0.7500 0.4623
S 0.1950 0.7500 0.0377
S 0.3766 0.2500 0.1647
S 0.8766 0.2500 0.3353
S 0.6234 0.7500 0.8353
S 0.1234 0.7500 0.6647
CELL_PARAMETERS angstrom
6.6631 0.0000 0.0000
0.0000 10.4986 0.0000
0.0000 0.0000 10.6999

=====

! Na6FeS4 PBE relaxed; values from VASP
! **V**: 481.6 Å³ per cell
! **DFT formation energy**: -1.099 eV per atom
! **Uncorrected energy**: -0.2875 Ry/atom
&SYSTEM
  ibrav = 0, nat = 22, ntyp = 3
/
ATOMIC_SPECIES
Na 22.99 Na.upf
Fe 55.84 Fe.upf
S 32.06 S.upf
ATOMIC_POSITIONS crystal
Na 0.1469 0.8531 0.5394
Na 0.2937 0.1469 0.0394
Na 0.8531 0.7063 0.0394
Na 0.1469 0.2937 0.5394
Na 0.7063 0.8531 0.5394
Na 0.8531 0.1469 0.0394
Na 0.5317 0.4683 0.3687
Na 0.0634 0.5317 0.8687
Na 0.4683 0.9366 0.8687
Na 0.5317 0.0634 0.3687
Na 0.9366 0.4683 0.3687
Na 0.4683 0.5317 0.8687
Fe 0.6667 0.3333 0.7529
Fe 0.3333 0.6667 0.2529
S 0.8109 0.1891 0.6459
S 0.6218 0.8109 0.1459
S 0.3333 0.6667 0.5920
S 0.6667 0.3333 0.0920
S 0.1891 0.8109 0.1459
S 0.3782 0.1891 0.6459
S 0.8109 0.6218 0.6459
S 0.1891 0.3782 0.1459
CELL_PARAMETERS angstrom
4.4733 -7.7480 0.0000
4.4733 7.7480 0.0000
0.0000 0.0000 6.9474

=====

! Na3FeSe3 PBE relaxed; values from VASP
! **V**: 704.6 Å³ per cell
! **DFT formation energy**: -0.992 eV per atom
! **Uncorrected energy**: -0.2988 Ry/atom
&SYSTEM
  ibrav = 0, nat = 28, ntyp = 3
/
ATOMIC_SPECIES
Na 22.99 Na.upf
Fe 55.84 Fe.upf
Se 78.96 Se.upf
ATOMIC_POSITIONS crystal
Na 0.0172 0.1246 0.5930
Na 0.5172 0.8754 0.9070
Na 0.4828 0.1246 0.0930
Na 0.9828 0.8754 0.4070
Na 0.0001 0.4960 0.2764
Na 0.5001 0.5040 0.2236
Na 0.9999 0.5040 0.7236
Na 0.5167 0.0487 0.6138
Na 0.9833 0.0487 0.1138
Na 0.4833 0.9513 0.3862
Na 0.0167 0.9513 0.8862
Na 0.4999 0.4960 0.7764
Fe 0.6201 0.5004 0.4259
Fe 0.3799 0.4996 0.5741
Fe 0.1201 0.4996 0.0741
Fe 0.8799 0.5004 0.9259
Se 0.2165 0.2008 0.2255
Se 0.2887 0.4877 0.4236
Se 0.2113 0.4877 0.9236
Se 0.7113 0.5123 0.5764
Se 0.7887 0.5123 0.0764
Se 0.7165 0.7992 0.2745
Se 0.7835 0.7992 0.7745
Se 0.2835 0.2008 0.7255
Se 0.7423 0.2043 0.4270
Se 0.2423 0.7957 0.0730
Se 0.2577 0.7957 0.5730
Se 0.7577 0.2043 0.9270
CELL_PARAMETERS angstrom
7.2321 0.0000 0.0000
0.0000 7.4813 0.0000
0.0000 7.1682 13.0226

=====

! Nb19Fe20 PBE relaxed; values from VASP
! **V**: 566.8 Å³ per cell
! **DFT formation energy**: -0.108 eV per atom
! **Uncorrected energy**: -0.6889 Ry/atom
&SYSTEM
  ibrav = 0, nat = 39, ntyp = 2
/
ATOMIC_SPECIES
Nb 92.91 Nb.upf
Fe 55.84 Fe.upf
ATOMIC_POSITIONS crystal
Nb 0.3333 0.6667 0.2169
Nb 0.0000 0.0000 0.5492
Nb 0.6667 0.3333 0.8814
Nb 0.3333 0.6667 0.1186
Nb 0.0000 0.0000 0.4508
Nb 0.6667 0.3333 0.7831
Nb 0.6667 0.3333 0.1685
Nb 0.3333 0.6667 0.5000
Nb 0.0000 0.0000 0.8317
Nb 0.0000 0.0000 0.1683
Nb 0.6667 0.3333 0.5000
Nb 0.3333 0.6667 0.8315
Nb 0.3333 0.6667 0.3196
Nb 0.0000 0.0000 0.6527
Nb 0.6667 0.3333 0.9842
Nb 0.3333 0.6667 0.0158
Nb 0.0000 0.0000 0.3473
Nb 0.6667 0.3333 0.6804
Nb 0.0000 0.0000 0.0000
Fe 0.3407 0.1703 0.0790
Fe 0.9998 0.4999 0.4086
Fe 0.6662 0.8331 0.7413
Fe 0.8297 0.6593 0.0790
Fe 0.5001 0.0002 0.4086
Fe 0.1669 0.3338 0.7413
Fe 0.8297 0.1703 0.0790
Fe 0.5001 0.4999 0.4086
Fe 0.1669 0.8331 0.7413
Fe 0.3338 0.1669 0.2587
Fe 0.0002 0.5001 0.5914
Fe 0.6593 0.8297 0.9210
Fe 0.8331 0.6662 0.2587
Fe 0.4999 0.9998 0.5914
Fe 0.1703 0.3407 0.9210
Fe 0.8331 0.1669 0.2587
Fe 0.4999 0.5001 0.5914
Fe 0.1703 0.8297 0.9210
Fe 0.6667 0.3333 0.3338
Fe 0.3333 0.6667 0.6662
CELL_PARAMETERS angstrom
2.4647 -4.2690 0.0000
2.4647 4.2690 0.0000
0.0000 0.0000 26.9347

=====

! NbFe PBE relaxed; values from VASP
! **V**: 376.5 Å³ per cell
! **DFT formation energy**: -0.108 eV per atom
! **Uncorrected energy**: -0.6904 Ry/atom
&SYSTEM
  ibrav = 0, nat = 26, ntyp = 2
/
ATOMIC_SPECIES
Nb 92.91 Nb.upf
Fe 55.84 Fe.upf
ATOMIC_POSITIONS crystal
Nb 0.8256 0.8256 0.8256
Nb 0.3261 0.3261 0.3261
Nb 0.6739 0.6739 0.6739
Nb 0.1744 0.1744 0.1744
Nb 0.7735 0.7735 0.7735
Nb 0.2755 0.2755 0.2755
Nb 0.7245 0.7245 0.7245
Nb 0.2265 0.2265 0.2265
Nb 0.4155 0.4155 0.4155
Nb 0.9177 0.9177 0.9177
Nb 0.0823 0.0823 0.0823
Nb 0.5845 0.5845 0.5845
Nb 0.5000 0.5000 0.5000
Fe 0.2036 0.2036 0.7034
Fe 0.7100 0.7100 0.1985
Fe 0.7034 0.2036 0.2036
Fe 0.1985 0.7100 0.7100
Fe 0.2036 0.7034 0.2036
Fe 0.7100 0.1985 0.7100
Fe 0.2900 0.2900 0.8015
Fe 0.7964 0.7964 0.2966
Fe 0.8015 0.2900 0.2900
Fe 0.2966 0.7964 0.7964
Fe 0.2900 0.8015 0.2900
Fe 0.7964 0.2966 0.7964
Fe 0.0000 0.0000 0.0000
CELL_PARAMETERS angstrom
17.9715 -2.4632 0.0000
17.9715 2.4632 0.0000
17.6339 0.0000 4.2529

=====

! Nb3Fe PBE relaxed; values from VASP
! **V**: 64.9 Å³ per cell
! **DFT formation energy**: 0.031 eV per atom
! **Uncorrected energy**: -0.7102 Ry/atom
&SYSTEM
  ibrav = 0, nat = 4, ntyp = 2
/
ATOMIC_SPECIES
Nb 92.91 Nb.upf
Fe 55.84 Fe.upf
ATOMIC_POSITIONS crystal
Nb 0.5000 0.5000 0.5000
Nb 0.7500 0.7500 0.7500
Nb 0.2500 0.2500 0.2500
Fe 0.0000 0.0000 0.0000
CELL_PARAMETERS angstrom
0.0000 3.1897 3.1897
3.1897 0.0000 3.1897
3.1897 3.1897 0.0000

=====

! NbFe2 PBE relaxed; values from VASP
! **V**: 154.9 Å³ per cell
! **DFT formation energy**: -0.131 eV per atom
! **Uncorrected energy**: -0.6721 Ry/atom
&SYSTEM
  ibrav = 0, nat = 12, ntyp = 2
/
ATOMIC_SPECIES
Nb 92.91 Nb.upf
Fe 55.84 Fe.upf
ATOMIC_POSITIONS crystal
Nb 0.3333 0.6667 0.5662
Nb 0.6667 0.3333 0.4338
Nb 0.6667 0.3333 0.0662
Nb 0.3333 0.6667 0.9338
Fe 0.0000 0.0000 0.5000
Fe 0.0000 0.0000 0.0000
Fe 0.1701 0.8299 0.2500
Fe 0.6598 0.8299 0.2500
Fe 0.1701 0.3402 0.2500
Fe 0.8299 0.1701 0.7500
Fe 0.3402 0.1701 0.7500
Fe 0.8299 0.6598 0.7500
CELL_PARAMETERS angstrom
-2.3802 -4.1227 0.0000
-2.3802 4.1227 0.0000
0.0000 0.0000 -7.8952

=====

! Nb3Fe PBE relaxed; values from VASP
! **V**: 66.4 Å³ per cell
! **DFT formation energy**: 0.209 eV per atom
! **Uncorrected energy**: -0.6971 Ry/atom
&SYSTEM
  ibrav = 0, nat = 4, ntyp = 2
/
ATOMIC_SPECIES
Nb 92.91 Nb.upf
Fe 55.84 Fe.upf
ATOMIC_POSITIONS crystal
Nb 0.5000 0.5000 0.0000
Nb 0.7500 0.2500 0.5000
Nb 0.2500 0.7500 0.5000
Fe 0.0000 0.0000 0.0000
CELL_PARAMETERS angstrom
-1.8966 1.8966 4.6178
1.8966 -1.8966 4.6178
1.8966 1.8966 -4.6178

=====

! Nb2Fe PBE relaxed; values from VASP
! **V**: 103.3 Å³ per cell
! **DFT formation energy**: 0.609 eV per atom
! **Uncorrected energy**: -0.6577 Ry/atom
&SYSTEM
  ibrav = 0, nat = 6, ntyp = 2
/
ATOMIC_SPECIES
Nb 92.91 Nb.upf
Fe 55.84 Fe.upf
ATOMIC_POSITIONS crystal
Nb 0.6250 0.6250 0.1250
Nb 0.6250 0.1250 0.6250
Nb 0.1250 0.6250 0.6250
Nb 0.6250 0.6250 0.6250
Fe 0.2500 0.2500 0.2500
Fe 0.0000 0.0000 0.0000
CELL_PARAMETERS angstrom
0.0000 3.7242 3.7242
3.7242 0.0000 3.7242
3.7242 3.7242 0.0000

=====

! NbFe2 PBE relaxed; values from VASP
! **V**: 79.4 Å³ per cell
! **DFT formation energy**: -0.135 eV per atom
! **Uncorrected energy**: -0.6724 Ry/atom
&SYSTEM
  ibrav = 0, nat = 6, ntyp = 2
/
ATOMIC_SPECIES
Nb 92.91 Nb.upf
Fe 55.84 Fe.upf
ATOMIC_POSITIONS crystal
Nb 0.7500 0.7500 0.7500
Nb 0.0000 0.0000 0.0000
Fe 0.8750 0.3750 0.3750
Fe 0.3750 0.8750 0.3750
Fe 0.3750 0.3750 0.8750
Fe 0.3750 0.3750 0.3750
CELL_PARAMETERS angstrom
-3.4119 -3.4119 0.0000
-3.4119 0.0000 -3.4119
0.0000 -3.4119 -3.4119

=====

! Nb3Fe PBE relaxed; values from VASP
! **V**: 66.1 Å³ per cell
! **DFT formation energy**: 0.287 eV per atom
! **Uncorrected energy**: -0.6913 Ry/atom
&SYSTEM
  ibrav = 0, nat = 4, ntyp = 2
/
ATOMIC_SPECIES
Nb 92.91 Nb.upf
Fe 55.84 Fe.upf
ATOMIC_POSITIONS crystal
Nb 0.0000 0.5000 0.5000
Nb 0.5000 0.5000 0.0000
Nb 0.5000 0.0000 0.5000
Fe 0.0000 0.0000 0.0000
CELL_PARAMETERS angstrom
4.0433 0.0000 0.0000
0.0000 4.0433 0.0000
0.0000 0.0000 4.0433

=====

! NbFe2 PBE relaxed; values from VASP
! **V**: 308.7 Å³ per cell
! **DFT formation energy**: -0.129 eV per atom
! **Uncorrected energy**: -0.6720 Ry/atom
&SYSTEM
  ibrav = 0, nat = 24, ntyp = 2
/
ATOMIC_SPECIES
Nb 92.91 Nb.upf
Fe 55.84 Fe.upf
ATOMIC_POSITIONS crystal
Nb 0.0000 0.0000 0.4075
Nb 0.0000 0.0000 0.5925
Nb 0.0000 0.0000 0.9075
Nb 0.0000 0.0000 0.0925
Nb 0.3333 0.6667 0.6559
Nb 0.6667 0.3333 0.3441
Nb 0.6667 0.3333 0.1559
Nb 0.3333 0.6667 0.8441
Fe 0.3333 0.6667 0.3735
Fe 0.6667 0.3333 0.6265
Fe 0.6667 0.3333 0.8735
Fe 0.3333 0.6667 0.1265
Fe 0.5000 0.5000 0.5000
Fe 0.5000 0.0000 0.5000
Fe 0.0000 0.5000 0.5000
Fe 0.5000 0.5000 0.0000
Fe 0.5000 0.0000 0.0000
Fe 0.0000 0.5000 0.0000
Fe 0.1623 0.8377 0.2500
Fe 0.1623 0.3247 0.2500
Fe 0.6753 0.8377 0.2500
Fe 0.8377 0.1623 0.7500
Fe 0.8377 0.6753 0.7500
Fe 0.3247 0.1623 0.7500
CELL_PARAMETERS angstrom
2.3913 -4.1419 0.0000
2.3913 4.1419 0.0000
0.0000 0.0000 15.5859

=====

! Nb2FeS4 PBE relaxed; values from VASP
! **V**: 547.1 Å³ per cell
! **DFT formation energy**: -0.980 eV per atom
! **Uncorrected energy**: -0.5257 Ry/atom
&SYSTEM
  ibrav = 0, nat = 28, ntyp = 3
/
ATOMIC_SPECIES
Nb 92.91 Nb.upf
Fe 55.84 Fe.upf
S 32.06 S.upf
ATOMIC_POSITIONS crystal
Nb 0.7500 0.8821 0.5287
Nb 0.2500 0.1179 0.4713
Nb 0.2500 0.6179 0.0287
Nb 0.7500 0.3821 0.9713
Nb 0.7500 0.5133 0.4001
Nb 0.2500 0.4867 0.5999
Nb 0.2500 0.9867 0.9001
Nb 0.7500 0.0133 0.0999
Fe 0.7500 0.7631 0.8525
Fe 0.2500 0.2369 0.1475
Fe 0.2500 0.7369 0.3525
Fe 0.7500 0.2631 0.6475
S 0.7500 0.6836 0.6333
S 0.2500 0.3164 0.3667
S 0.2500 0.8164 0.1333
S 0.7500 0.1836 0.8667
S 0.7500 0.6289 0.2864
S 0.2500 0.3711 0.7136
S 0.2500 0.8711 0.7864
S 0.7500 0.1289 0.2136
S 0.7500 0.9666 0.4020
S 0.2500 0.0334 0.5980
S 0.2500 0.5334 0.9020
S 0.7500 0.4666 0.0980
S 0.7500 0.8306 0.9725
S 0.2500 0.1694 0.0275
S 0.2500 0.6694 0.4725
S 0.7500 0.3306 0.5275
CELL_PARAMETERS angstrom
3.0340 0.1471 1.3920
3.6048 -2.4168 -7.6016
1.4363 17.9594 -5.0287

=====

! Nb2FeS4 PBE relaxed; values from VASP
! **V**: 114.6 Å³ per cell
! **DFT formation energy**: -1.158 eV per atom
! **Uncorrected energy**: -0.5388 Ry/atom
&SYSTEM
  ibrav = 0, nat = 7, ntyp = 3
/
ATOMIC_SPECIES
Nb 92.91 Nb.upf
Fe 55.84 Fe.upf
S 32.06 S.upf
ATOMIC_POSITIONS crystal
Nb 0.0000 0.0000 0.2565
Nb 0.0000 0.0000 0.7435
Fe 0.0000 0.0000 0.5000
S 0.3333 0.6667 0.8761
S 0.6667 0.3333 0.1239
S 0.6667 0.3333 0.3955
S 0.3333 0.6667 0.6045
CELL_PARAMETERS angstrom
1.6725 -2.8969 0.0000
1.6725 2.8969 0.0000
0.0000 0.0000 11.8286

=====

! Nb2FeS4 PBE relaxed; values from VASP
! **V**: 477.1 Å³ per cell
! **DFT formation energy**: -0.871 eV per atom
! **Uncorrected energy**: -0.5176 Ry/atom
&SYSTEM
  ibrav = 0, nat = 28, ntyp = 3
/
ATOMIC_SPECIES
Nb 92.91 Nb.upf
Fe 55.84 Fe.upf
S 32.06 S.upf
ATOMIC_POSITIONS crystal
Nb 0.2500 0.0443 0.5844
Nb 0.2500 0.5443 0.9156
Nb 0.7500 0.9557 0.4156
Nb 0.7500 0.4557 0.0844
Nb 0.2500 0.1143 0.0996
Nb 0.2500 0.6143 0.4004
Nb 0.7500 0.8857 0.9004
Nb 0.7500 0.3857 0.5996
Fe 0.2500 0.2255 0.3345
Fe 0.2500 0.7255 0.1655
Fe 0.7500 0.7745 0.6655
Fe 0.7500 0.2745 0.8345
S 0.2500 0.3221 0.9869
S 0.2500 0.8221 0.5131
S 0.7500 0.6779 0.0131
S 0.7500 0.1779 0.4869
S 0.2500 0.2430 0.6955
S 0.2500 0.7430 0.8045
S 0.7500 0.7570 0.3045
S 0.7500 0.2570 0.1955
S 0.2500 0.0577 0.9124
S 0.2500 0.5577 0.5876
S 0.7500 0.9423 0.0876
S 0.7500 0.4423 0.4124
S 0.2500 0.0238 0.2853
S 0.2500 0.5238 0.2147
S 0.7500 0.9762 0.7147
S 0.7500 0.4762 0.7853
CELL_PARAMETERS angstrom
3.3160 0.0000 0.0000
0.0000 11.0133 0.0000
0.0000 0.0000 13.0634